Crystalline SrHf2Mo at its relaxed geometry. Source: Materials Project, functional GGA-PBE.

Values from the calculation:
magnetization	0.7	μB per cell
space group	F-43m, No. 216
energy of formation	857.6	meV/atom
raw total energy	-7.25	eV/atom
calculated density	9.70	g/cm³

Geometry as POSCAR:
```
SrHf2Mo
1.0
0.0000 3.5898 3.5898
3.5898 0.0000 3.5898
3.5898 3.5898 0.0000
Sr Hf Mo
1 2 1
direct
0.0000 0.0000 0.0000
0.2500 0.2500 0.2500
0.5000 0.5000 0.5000
0.7500 0.7500 0.7500
```

Crystalline La15CuGe9 at its relaxed geometry. Source: Materials Project, functional GGA-PBE.

Values from the calculation:
magnetization	3.6	μB per cell
space group	P6_3mc, No. 186
energy of formation	-659.0	meV/atom
raw total energy	-5.45	eV/atom
calculated density	6.28	g/cm³

Geometry as POSCAR:
```
La15CuGe9
1.0
15.7313 0.0000 0.0000
-7.8656 13.6237 0.0000
0.0000 0.0000 6.9116
La Cu Ge
30 2 18
direct
0.0186 0.3408 0.0000
0.0186 0.6778 0.0000
0.0831 0.1662 0.2798
0.0831 0.9169 0.2798
0.1574 0.5787 0.2479
0.1662 0.0831 0.7798
0.2455 0.4909 0.7296
0.2455 0.7545 0.7296
0.3222 0.3408 0.0000
0.3222 0.9814 0.0000
0.3408 0.0186 0.5000
0.3408 0.3222 0.5000
0.4213 0.5787 0.2479
0.4213 0.8426 0.2479
0.4909 0.2455 0.2296
0.5091 0.7545 0.7296
0.5787 0.1574 0.7479
0.5787 0.4213 0.7479
0.6592 0.6778 0.0000
0.6592 0.9814 0.0000
0.6778 0.0186 0.5000
0.6778 0.6592 0.5000
0.7545 0.2455 0.2296
0.7545 0.5091 0.2296
0.8338 0.9169 0.2798
0.8426 0.4213 0.7479
0.9169 0.0831 0.7798
0.9169 0.8338 0.7798
0.9814 0.3222 0.5000
0.9814 0.6592 0.5000
0.3333 0.6667 0.4857
0.6667 0.3333 0.9857
0.0736 0.5368 0.7293
0.1295 0.2591 0.7234
0.1295 0.8705 0.7234
0.2018 0.4036 0.2861
0.2018 0.7982 0.2861
0.2591 0.1295 0.2234
0.4036 0.2018 0.7861
0.4632 0.5368 0.7293
0.4632 0.9264 0.7293
0.5368 0.0736 0.2293
0.5368 0.4632 0.2293
0.5964 0.7982 0.2861
0.7409 0.8705 0.7234
0.7982 0.2018 0.7861
0.7982 0.5964 0.7861
0.8705 0.1295 0.2234
0.8705 0.7409 0.2234
0.9264 0.4632 0.2293
```

Crystalline Ta4Be at its relaxed geometry. Source: Materials Project, functional GGA-PBE.

Values from the calculation:
magnetization	0.3	μB per cell
space group	Fd-3m, No. 227
energy of formation	1085.1	meV/atom
raw total energy	-9.15	eV/atom
calculated density	13.22	g/cm³

Geometry as POSCAR:
```
Ta4Be
1.0
0.0000 4.5153 4.5153
4.5153 0.0000 4.5153
4.5153 4.5153 0.0000
Ta Be
8 2
direct
0.2074 0.7642 0.7642
0.2358 0.2358 0.2358
0.2358 0.2358 0.7926
0.2358 0.7926 0.2358
0.7642 0.2074 0.7642
0.7642 0.7642 0.2074
0.7642 0.7642 0.7642
0.7926 0.2358 0.2358
0.3750 0.3750 0.3750
0.6250 0.6250 0.6250
```

Question: Which value of energy of formation does entry 2 give?
Answer: -659.0 meV/atom

Question: Which formula does entry 2 have?
Answer: La15CuGe9

Question: Which of these has the highest raw total energy?
Answer: La15CuGe9

Question: Look up the raw total energy of the third one.
Answer: -9.15 eV/atom